Entry 1:
DFT (GGA+U) results for a relaxed Li7Mn2Co3O12 crystal.

Cell: 2.946 2.946 29.269 Å, 90.00 90.00 120.00°
Positions (direct):
Li1 0.000 0.000 0.254
Li2 0.000 0.000 0.500
Li3 0.667 0.333 0.083
Li4 0.333 0.667 0.421
Li5 0.333 0.667 0.913
Li6 0.667 0.333 0.581
Li7 0.000 0.000 0.748
Co1 0.333 0.667 0.667
Co2 0.667 0.333 0.833
Co3 0.667 0.333 0.334
O1 0.333 0.667 0.542
O2 0.000 0.000 0.128
O3 0.000 0.000 0.367
O4 0.333 0.667 0.039
O5 0.667 0.333 0.706
O6 0.667 0.333 0.962
O7 0.667 0.333 0.458
O8 0.000 0.000 0.630
O9 0.667 0.333 0.205
O10 0.333 0.667 0.798
O11 0.333 0.667 0.296
O12 0.000 0.000 0.871
Mn1 0.333 0.667 0.167
Mn2 0.000 0.000 0.000

## Properties
The space group is P3m1, No. 156.

***

Entry 2:
DFT (GGA+U) results for a relaxed Li7Mn4CoO12 crystal.

Cell: 2.982 5.075 14.760 Å, 98.01 86.31 93.31°
Positions (direct):
Li1 0.585 0.083 0.831
Li2 0.087 0.581 0.833
Li3 0.333 0.333 0.334
Li4 0.402 0.926 0.176
Li5 0.261 0.744 0.491
Li6 0.918 0.406 0.180
Li7 0.749 0.258 0.489
O1 0.344 0.650 0.262
O2 0.939 0.710 0.075
O3 0.574 0.783 0.921
O4 0.881 0.102 0.255
O5 0.323 0.016 0.405
O6 0.221 0.454 0.592
O7 0.427 0.216 0.077
O8 0.784 0.565 0.413
O9 0.111 0.879 0.742
O10 0.598 0.377 0.743
O11 0.063 0.286 0.922
O12 0.734 0.963 0.593
Mn1 0.996 0.001 0.001
Mn2 0.496 0.501 0.001
Mn3 0.669 0.666 0.665
Mn4 0.833 0.833 0.334
Co1 0.172 0.167 0.666

## Properties
The space group is P1, No. 1.

***

Entry 3:
DFT (GGA+U) results for a relaxed Li7Mn2Co3O12 crystal.

Cell: 2.985 5.051 14.630 Å, 81.75 85.61 88.22°
Positions (direct):
O1 0.523 0.685 0.428
O2 0.039 0.246 0.426
O3 0.869 0.373 0.757
O4 0.258 0.456 0.910
O5 0.796 0.957 0.908
O6 0.477 0.315 0.572
O7 0.587 0.121 0.248
O8 0.204 0.043 0.092
O9 0.742 0.544 0.090
O10 0.413 0.879 0.752
O11 0.131 0.627 0.243
O12 0.961 0.754 0.574
Li1 0.919 0.080 0.659
Li2 0.500 0.000 0.500
Li3 0.569 0.413 0.342
Li4 0.081 0.920 0.341
Li5 0.751 0.250 0.999
Li6 0.431 0.587 0.658
Li7 0.249 0.750 0.001
Co1 0.666 0.833 0.168
Co2 0.000 0.500 0.500
Co3 0.334 0.167 0.832
Mn1 0.836 0.667 0.832
Mn2 0.164 0.333 0.168

## Properties
The space group is P-1, No. 2.

***

Entry 4:
DFT (GGA+U) results for a relaxed Li7Mn4CoO12 crystal.

Cell: 5.237 10.371 8.664 Å, 72.40 104.67 95.88°
Positions (direct):
O1 0.892 0.810 0.105
O2 0.575 0.813 0.789
O3 0.563 0.429 0.324
O4 0.394 0.312 0.602
O5 0.394 0.929 0.165
O6 0.593 0.687 0.379
O7 0.767 0.571 0.004
O8 0.066 0.928 0.829
O9 0.273 0.071 0.502
O10 0.074 0.313 0.288
O11 0.103 0.571 0.342
O12 0.720 0.942 0.488
O13 0.092 0.187 0.878
O14 0.192 0.818 0.424
O15 0.476 0.555 0.689
O16 0.474 0.182 0.243
O17 0.190 0.445 0.978
O18 0.273 0.688 0.065
O19 0.979 0.682 0.745
O20 0.947 0.057 0.179
O21 0.601 0.072 0.838
O22 0.775 0.190 0.562
O23 0.899 0.429 0.663
O24 0.688 0.318 0.922
Mn1 0.916 0.748 0.912
Mn2 0.663 0.997 0.664
Mn3 0.512 0.503 0.503
Mn4 0.249 0.750 0.255
Mn5 0.418 0.250 0.411
Mn6 0.154 0.497 0.163
Mn7 0.004 0.003 0.003
Mn8 0.750 0.252 0.754
Li1 0.289 0.375 0.801
Li2 0.089 0.875 0.608
Li3 0.378 0.625 0.865
Li4 0.877 0.123 0.364
Li5 0.076 0.250 0.082
Li6 0.450 0.876 0.955
Li7 0.789 0.877 0.302
Li8 0.078 0.622 0.562
Li9 0.591 0.750 0.585
Li10 0.216 0.124 0.712
Li11 0.953 0.376 0.456
Li12 0.578 0.125 0.058
Li13 0.714 0.624 0.210
Li14 0.589 0.378 0.105
Co1 0.333 0.000 0.333
Co2 0.833 0.500 0.833

## Properties
The space group is P-1, No. 2.

***

Entry 5:
DFT (GGA+U) results for a relaxed Li4MnCo2O7 crystal.

Cell: 6.599 6.599 14.492 Å, 69.01 69.01 25.54°
Positions (direct):
O1 0.292 0.292 0.819
O2 0.273 0.273 0.325
O3 0.425 0.425 0.616
O4 0.145 0.145 0.526
O5 0.991 0.991 0.758
O6 0.710 0.710 0.192
O7 0.721 0.721 0.684
O8 0.130 0.130 0.036
O9 0.434 0.434 0.093
O10 0.852 0.852 0.459
O11 0.014 0.014 0.247
O12 0.868 0.868 0.960
O13 0.582 0.582 0.380
O14 0.561 0.561 0.906
Li1 0.427 0.427 0.362
Li2 0.715 0.715 0.925
Li3 0.856 0.856 0.223
Li4 0.286 0.286 0.066
Li5 0.574 0.574 0.639
Li6 0.993 0.993 0.506
Li7 0.287 0.287 0.572
Li8 0.150 0.150 0.779
Co1 0.572 0.572 0.143
Co2 0.425 0.425 0.851
Co3 0.724 0.724 0.439
Co4 0.849 0.849 0.706
Mn1 0.144 0.144 0.288
Mn2 0.999 0.999 0.000

## Properties
The space group is Cm, No. 8.

***

Entry 6:
DFT (GGA+U) results for a relaxed Li5Mn2CoO8 crystal.

Cell: 5.051 7.709 7.650 Å, 83.02 108.51 95.89°
Positions (direct):
Li1 0.002 0.876 0.375
Li2 0.501 0.439 0.182
Li3 0.499 0.308 0.564
Li4 0.494 0.053 0.316
Li5 0.499 0.811 0.068
Li6 0.493 0.550 0.819
Li7 0.998 0.374 0.875
Li8 0.506 0.197 0.934
Li9 0.501 0.942 0.686
Li10 0.507 0.700 0.431
O1 0.777 0.647 0.287
O2 0.216 0.341 0.697
O3 0.229 0.702 0.603
O4 0.785 0.143 0.787
O5 0.768 0.399 0.045
O6 0.764 0.295 0.399
O7 0.236 0.955 0.851
O8 0.215 0.107 0.463
O9 0.784 0.909 0.553
O10 0.778 0.789 0.908
O11 0.223 0.603 0.963
O12 0.771 0.548 0.647
O13 0.773 0.045 0.147
O14 0.232 0.851 0.205
O15 0.227 0.205 0.103
O16 0.222 0.461 0.342
Co1 0.000 0.125 0.625
Co2 0.000 0.625 0.125
Mn1 0.993 0.250 0.246
Mn2 0.996 0.501 0.500
Mn3 0.007 0.000 0.004
Mn4 0.004 0.749 0.750

## Properties
The space group is P-1, No. 2.

***

Number 1: relative energy among the computed polymorphs 5.03 eV/f.u., electronic total energy -5.72 eV/atom, formation energy -1.7238 eV per atom. Number 2: relative energy among the computed polymorphs 1.79 eV/f.u., electronic total energy -6.17 eV/atom, formation energy -2.0096 eV per atom. Number 3: relative energy among the computed polymorphs 2.26 eV/f.u., electronic total energy -5.83 eV/atom, formation energy -1.8391 eV per atom. Number 4: relative energy among the computed polymorphs 0.49 eV/f.u., electronic total energy -6.23 eV/atom, formation energy -2.0637 eV per atom. Number 5: relative energy among the computed polymorphs 1.13 eV/f.u., electronic total energy -5.80 eV/atom, formation energy -1.8030 eV per atom. Number 6: relative energy among the computed polymorphs 0.19 eV/f.u., electronic total energy -6.03 eV/atom, formation energy -2.0223 eV per atom.